VASP calculation (PBE-GGA) on a relaxed structure of Al39Fe7Cu24.

Structure (CIF):
```
data_Al39Fe7Cu24
_chemical_formula_sum 'Al78 Fe14 Cu48'
_cell_length_a 12.586
_cell_length_b 12.586
_cell_length_c 12.586
_cell_angle_alpha 90.00
_cell_angle_beta 90.00
_cell_angle_gamma 90.00
_symmetry_space_group_name_H-M 'P m -3'
_symmetry_Int_Tables_number 200
_symmetry_space_group_name_Hall '-P 2 2 3'
loop_
_atom_site_label
_atom_site_fract_x
_atom_site_fract_y
_atom_site_fract_z
Al1 0.000 0.000 0.390
Al2 0.000 0.175 0.106
Al3 0.000 0.386 0.378
Al4 0.100 0.182 0.500
Al5 0.113 0.324 0.198
Al6 0.209 0.500 0.330
Fe1 0.000 0.000 0.000
Fe2 0.326 0.410 0.500
Fe3 0.500 0.500 0.500
Cu1 0.000 0.192 0.313
Cu2 0.000 0.500 0.193
Cu3 0.112 0.500 0.500
Cu4 0.196 0.306 0.378
```

Properties
E_tot: -4.37 eV/atom
crystal system: cubic
energy of formation: -0.032 eV/atom


VASP calculation (PBE-GGA) on a relaxed structure of Al37Fe12Cu2.

Structure (CIF):
```
data_Al37Fe12Cu2
_chemical_formula_sum 'Al74 Fe24 Cu4'
_cell_length_a 15.481
_cell_length_b 7.858
_cell_length_c 12.415
_cell_angle_alpha 90.00
_cell_angle_beta 108.15
_cell_angle_gamma 90.00
_symmetry_space_group_name_H-M 'C 1 m 1'
_symmetry_Int_Tables_number 8
loop_
_symmetry_equiv_pos_as_xyz
'x,y,z'
'x,-y,z'
'x+1/2,y+1/2,z'
'x+1/2,-y+1/2,z'
loop_
_atom_site_label
_atom_site_fract_x
_atom_site_fract_y
_atom_site_fract_z
Al1 0.000 0.000 0.000
Al2 0.001 0.283 0.615
Al3 0.007 0.284 0.387
Al4 0.014 0.000 0.505
Al5 0.054 0.500 0.219
Al6 0.054 0.500 0.818
Al7 0.083 0.000 0.324
Al8 0.087 0.000 0.735
Al9 0.129 0.500 0.047
Al10 0.136 0.214 0.164
Al11 0.141 0.215 0.939
Al12 0.142 0.500 0.554
Al13 0.188 0.290 0.386
Al14 0.189 0.294 0.754
Al15 0.239 0.000 0.493
Al16 0.249 0.000 0.697
Al17 0.262 0.000 0.103
Al18 0.302 0.500 0.108
Al19 0.310 0.279 0.611
Al20 0.321 0.250 0.277
Al21 0.333 0.273 0.946
Al22 0.341 0.500 0.445
Al23 0.387 0.000 0.452
Al24 0.396 0.000 0.864
Al25 0.451 0.280 0.163
Al26 0.453 0.294 0.800
Fe1 0.006 0.295 0.998
Fe2 0.140 0.204 0.552
Fe3 0.219 0.500 0.907
Fe4 0.222 0.500 0.262
Fe5 0.231 0.000 0.288
Fe6 0.234 0.000 0.889
Fe7 0.404 0.000 0.658
Fe8 0.412 0.000 0.272
Fe9 0.419 0.500 0.290
Fe10 0.425 0.500 0.646
Cu1 0.321 0.500 0.777
Cu2 0.401 0.000 0.060
```

Properties
E_tot: -5.20 eV/atom
crystal system: monoclinic
energy of formation: -0.325 eV/atom